1.
! SrEuZrFeO6 (GGA+U, relaxed); values from VASP
&SYSTEM
  ibrav = 0, nat = 10, ntyp = 5
/
ATOMIC_SPECIES
Sr 87.62 Sr.upf
Eu 151.96 Eu.upf
Zr 91.22 Zr.upf
Fe 55.84 Fe.upf
O 16.00 O.upf
ATOMIC_POSITIONS crystal
Sr 0.000 0.000 0.000
Eu 0.500 0.500 0.500
Zr 0.250 0.250 0.250
Fe 0.750 0.750 0.750
O 0.506 0.506 0.994
O 0.506 0.994 0.506
O 0.506 0.994 0.994
O 0.994 0.506 0.506
O 0.994 0.506 0.994
O 0.994 0.994 0.506
CELL_PARAMETERS angstrom
0.000 4.052 4.052
4.052 0.000 4.052
4.052 4.052 0.000
! - SG: No. 216
! - Total DFT energy (no corrections): -81.70 eV/cell
! - Total magnetization: 11.000 μB per formula unit

***

2.
! Eu2FeWO6 (GGA+U, relaxed); values from VASP
&SYSTEM
  ibrav = 0, nat = 10, ntyp = 4
/
ATOMIC_SPECIES
Eu 151.96 Eu.upf
Fe 55.84 Fe.upf
W 183.84 W.upf
O 16.00 O.upf
ATOMIC_POSITIONS crystal
Eu 0.250 0.250 0.250
Eu 0.750 0.750 0.750
Fe 0.000 0.000 0.000
W 0.500 0.500 0.500
O 0.253 0.253 0.747
O 0.253 0.747 0.253
O 0.253 0.747 0.747
O 0.747 0.253 0.253
O 0.747 0.253 0.747
O 0.747 0.747 0.253
CELL_PARAMETERS angstrom
0.000 4.005 4.005
4.005 0.000 4.005
4.005 4.005 0.000
! - SG: No. 225
! - Total DFT energy (no corrections): -86.09 eV/cell
! - Total magnetization: 17.570 μB per formula unit

***

3.
! Eu2MnGe4O12 (GGA+U, relaxed); values from VASP
&SYSTEM
  ibrav = 0, nat = 38, ntyp = 4
/
ATOMIC_SPECIES
Eu 151.96 Eu.upf
Mn 54.94 Mn.upf
Ge 72.64 Ge.upf
O 16.00 O.upf
ATOMIC_POSITIONS crystal
Eu 0.000 0.500 0.000
Eu 0.250 0.250 0.000
Eu 0.500 0.000 0.000
Eu 0.750 0.750 0.000
Mn 0.000 0.000 0.000
Mn 0.500 0.500 0.000
Ge 0.027 0.756 0.508
Ge 0.244 0.973 0.508
Ge 0.256 0.527 0.508
Ge 0.473 0.744 0.508
Ge 0.527 0.256 0.492
Ge 0.744 0.473 0.492
Ge 0.756 0.027 0.492
Ge 0.973 0.244 0.492
O 0.050 0.159 0.228
O 0.065 0.324 0.736
O 0.130 0.870 0.328
O 0.132 0.632 0.665
O 0.159 0.050 0.772
O 0.176 0.435 0.264
O 0.324 0.065 0.264
O 0.341 0.450 0.772
O 0.368 0.868 0.665
O 0.370 0.630 0.328
O 0.435 0.176 0.736
O 0.450 0.341 0.228
O 0.550 0.659 0.772
O 0.565 0.824 0.264
O 0.630 0.370 0.672
O 0.632 0.132 0.335
O 0.659 0.550 0.228
O 0.676 0.935 0.736
O 0.824 0.565 0.736
O 0.841 0.950 0.228
O 0.868 0.368 0.335
O 0.870 0.130 0.672
O 0.935 0.676 0.264
O 0.950 0.841 0.772
CELL_PARAMETERS angstrom
7.179 -7.197 0.000
7.179 7.197 0.000
0.000 0.000 5.034
! - SG: No. 67
! - Total DFT energy (no corrections): -288.25 eV/cell
! - Total magnetization: 17.000 μB per formula unit

***

4.
! NdEuHfMnO6 (GGA+U, relaxed); values from VASP
&SYSTEM
  ibrav = 0, nat = 10, ntyp = 5
/
ATOMIC_SPECIES
Nd 144.24 Nd.upf
Eu 151.96 Eu.upf
Hf 178.49 Hf.upf
Mn 54.94 Mn.upf
O 16.00 O.upf
ATOMIC_POSITIONS crystal
Nd 0.000 0.000 0.000
Eu 0.500 0.500 0.500
Hf 0.250 0.250 0.250
Mn 0.750 0.750 0.750
O 0.502 0.502 0.998
O 0.502 0.998 0.502
O 0.502 0.998 0.998
O 0.998 0.502 0.502
O 0.998 0.502 0.998
O 0.998 0.998 0.502
CELL_PARAMETERS angstrom
0.000 4.032 4.032
4.032 0.000 4.032
4.032 4.032 0.000
! - SG: No. 216
! - Total DFT energy (no corrections): -89.92 eV/cell
! - Total magnetization: 11.000 μB per formula unit

***

5.
! Eu2Hf2Mo7O28 (GGA+U, relaxed); values from VASP
&SYSTEM
  ibrav = 0, nat = 78, ntyp = 4
/
ATOMIC_SPECIES
Eu 151.96 Eu.upf
Hf 178.49 Hf.upf
Mo 95.94 Mo.upf
O 16.00 O.upf
ATOMIC_POSITIONS crystal
Eu 0.126 0.150 0.437
Eu 0.150 0.126 0.937
Eu 0.850 0.874 0.063
Eu 0.874 0.850 0.563
Hf 0.349 0.419 0.312
Hf 0.419 0.349 0.812
Hf 0.581 0.651 0.188
Hf 0.651 0.581 0.688
Mo 0.012 0.500 0.675
Mo 0.069 0.810 0.353
Mo 0.190 0.931 0.147
Mo 0.231 0.455 0.024
Mo 0.299 0.701 0.750
Mo 0.455 0.231 0.524
Mo 0.500 0.012 0.175
Mo 0.500 0.988 0.825
Mo 0.545 0.769 0.476
Mo 0.701 0.299 0.250
Mo 0.769 0.545 0.976
Mo 0.810 0.069 0.853
Mo 0.931 0.190 0.647
Mo 0.988 0.500 0.325
O 0.001 0.204 0.781
O 0.027 0.936 0.102
O 0.038 0.392 0.550
O 0.052 0.171 0.585
O 0.058 0.319 0.333
O 0.064 0.973 0.398
O 0.075 0.638 0.005
O 0.126 0.488 0.282
O 0.136 0.739 0.659
O 0.171 0.052 0.085
O 0.172 0.336 0.971
O 0.194 0.425 0.761
O 0.204 0.001 0.281
O 0.261 0.864 0.841
O 0.263 0.640 0.374
O 0.302 0.449 0.161
O 0.319 0.058 0.833
O 0.336 0.172 0.471
O 0.360 0.737 0.126
O 0.361 0.559 0.819
O 0.362 0.925 0.495
O 0.374 0.390 0.955
O 0.390 0.374 0.455
O 0.392 0.038 0.050
O 0.425 0.194 0.261
O 0.441 0.639 0.681
O 0.449 0.302 0.661
O 0.488 0.126 0.782
O 0.512 0.874 0.218
O 0.551 0.698 0.339
O 0.559 0.361 0.319
O 0.575 0.806 0.739
O 0.608 0.962 0.950
O 0.610 0.626 0.545
O 0.626 0.610 0.045
O 0.638 0.075 0.505
O 0.639 0.441 0.181
O 0.640 0.263 0.874
O 0.664 0.828 0.529
O 0.681 0.942 0.167
O 0.698 0.551 0.839
O 0.737 0.360 0.626
O 0.739 0.136 0.159
O 0.796 0.999 0.719
O 0.806 0.575 0.239
O 0.828 0.664 0.029
O 0.829 0.948 0.915
O 0.864 0.261 0.341
O 0.874 0.512 0.718
O 0.925 0.362 0.995
O 0.936 0.027 0.602
O 0.942 0.681 0.667
O 0.948 0.829 0.415
O 0.962 0.608 0.450
O 0.973 0.064 0.898
O 0.999 0.796 0.219
CELL_PARAMETERS angstrom
10.629 -5.026 0.000
10.629 5.026 0.000
-5.517 0.000 13.013
! - SG: No. 15
! - Total DFT energy (no corrections): -618.95 eV/cell
! - Total magnetization: 12.074 μB per formula unit

***

6.
! NaEuHfWO6 (GGA+U, relaxed); values from VASP
&SYSTEM
  ibrav = 0, nat = 10, ntyp = 5
/
ATOMIC_SPECIES
Na 22.99 Na.upf
Eu 151.96 Eu.upf
Hf 178.49 Hf.upf
W 183.84 W.upf
O 16.00 O.upf
ATOMIC_POSITIONS crystal
Na 0.000 0.000 0.000
Eu 0.500 0.500 0.500
Hf 0.250 0.250 0.250
W 0.750 0.750 0.750
O 0.504 0.504 0.996
O 0.504 0.996 0.504
O 0.504 0.996 0.996
O 0.996 0.504 0.504
O 0.996 0.504 0.996
O 0.996 0.996 0.504
CELL_PARAMETERS angstrom
0.000 4.049 4.049
4.049 0.000 4.049
4.049 4.049 0.000
! - SG: No. 216
! - Total DFT energy (no corrections): -84.77 eV/cell
! - Total magnetization: 8.000 μB per formula unit

***

Q: What is the formula in the third record?
A: Eu2MnGe4O12